Compound: VP3H2O10
Source: the Materials Project
Functional: GGA+U
Structure: optimized geometry

a = 7.568 Å, b = 8.986 Å, c = 12.547 Å
α = 90.00°, β = 112.44°, γ = 90.00°
Positions (direct):
V 0.246 0.072 0.208
V 0.246 0.428 0.708
V 0.754 0.572 0.292
V 0.754 0.928 0.792
P 0.144 0.107 0.792
P 0.144 0.393 0.292
P 0.205 0.619 0.476
P 0.205 0.881 0.976
P 0.355 0.109 0.636
P 0.355 0.391 0.136
P 0.645 0.609 0.864
P 0.645 0.891 0.364
P 0.795 0.119 0.024
P 0.795 0.381 0.524
P 0.856 0.607 0.708
P 0.856 0.893 0.208
H 0.226 0.145 0.446
H 0.226 0.355 0.946
H 0.245 0.680 0.891
H 0.245 0.820 0.391
H 0.755 0.180 0.609
H 0.755 0.320 0.109
H 0.774 0.645 0.054
H 0.774 0.855 0.554
O 0.009 0.143 0.078
O 0.009 0.357 0.578
O 0.068 0.575 0.752
O 0.068 0.925 0.252
O 0.200 0.230 0.317
O 0.200 0.270 0.817
O 0.212 0.083 0.509
O 0.212 0.417 0.009
O 0.230 0.040 0.705
O 0.230 0.460 0.205
O 0.256 0.020 0.909
O 0.256 0.480 0.409
O 0.291 0.581 0.602
O 0.291 0.919 0.102
O 0.317 0.744 0.957
O 0.317 0.756 0.457
O 0.397 0.228 0.167
O 0.397 0.272 0.667
O 0.470 0.512 0.838
O 0.470 0.988 0.338
O 0.530 0.012 0.662
O 0.530 0.488 0.162
O 0.603 0.728 0.333
O 0.603 0.772 0.833
O 0.683 0.244 0.543
O 0.683 0.256 0.043
O 0.709 0.081 0.898
O 0.709 0.419 0.398
O 0.744 0.520 0.591
O 0.744 0.980 0.091
O 0.770 0.540 0.795
O 0.770 0.960 0.295
O 0.788 0.583 0.991
O 0.788 0.917 0.491
O 0.800 0.730 0.183
O 0.800 0.770 0.683
O 0.932 0.075 0.748
O 0.932 0.425 0.248
O 0.991 0.643 0.422
O 0.991 0.857 0.922

Results
formation energy	-2.412	eV/atom
space group	P2_1/c, No. 14

Compound: CaMn6O5F7
Source: the Materials Project
Functional: GGA+U
Structure: optimized geometry

a = 6.029 Å, b = 6.527 Å, c = 7.271 Å
α = 73.19°, β = 73.17°, γ = 85.64°
Positions (direct):
Ca 0.000 0.000 0.000
Mn 0.006 0.505 0.009
Mn 0.413 0.777 0.186
Mn 0.433 0.790 0.658
Mn 0.595 0.286 0.841
Mn 0.622 0.220 0.341
Mn 0.978 0.510 0.495
O 0.260 0.725 0.950
O 0.501 0.938 0.370
O 0.658 0.573 0.646
O 0.757 0.289 0.053
O 0.870 0.425 0.298
F 0.056 0.832 0.308
F 0.113 0.584 0.706
F 0.259 0.223 0.011
F 0.340 0.457 0.357
F 0.513 0.119 0.647
F 0.740 0.783 0.990
F 0.944 0.192 0.700

Results
formation energy	-2.578	eV/atom
space group	P1, No. 1

Compound: MnO2
Source: the Materials Project
Functional: GGA+U
Structure: optimized geometry

a = 5.776 Å, b = 5.776 Å, c = 19.584 Å
α = 101.97°, β = 101.97°, γ = 62.52°
Positions (direct):
Mn 0.000 0.000 0.000
Mn 0.048 0.559 0.602
Mn 0.053 0.558 0.092
Mn 0.060 0.540 0.345
Mn 0.060 0.557 0.847
Mn 0.116 0.116 0.697
Mn 0.309 0.309 0.472
Mn 0.483 0.483 0.244
Mn 0.501 0.501 0.751
Mn 0.540 0.060 0.345
Mn 0.557 0.060 0.847
Mn 0.558 0.053 0.092
Mn 0.559 0.048 0.602
Mn 0.613 0.613 0.942
Mn 0.806 0.806 0.216
Mn 0.989 0.989 0.496
O 0.143 0.686 0.278
O 0.176 0.698 0.031
O 0.181 0.645 0.532
O 0.192 0.192 0.042
O 0.198 0.198 0.544
O 0.198 0.671 0.784
O 0.202 0.202 0.793
O 0.204 0.204 0.295
O 0.409 0.409 0.657
O 0.410 0.410 0.399
O 0.412 0.412 0.142
O 0.412 0.934 0.662
O 0.422 0.422 0.900
O 0.423 0.979 0.415
O 0.445 0.919 0.910
O 0.476 0.929 0.160
O 0.645 0.181 0.532
O 0.671 0.198 0.784
O 0.686 0.143 0.278
O 0.694 0.694 0.289
O 0.695 0.695 0.795
O 0.698 0.176 0.031
O 0.701 0.701 0.036
O 0.704 0.704 0.556
O 0.902 0.902 0.398
O 0.909 0.909 0.146
O 0.914 0.914 0.903
O 0.919 0.445 0.910
O 0.921 0.921 0.651
O 0.929 0.476 0.160
O 0.934 0.412 0.662
O 0.979 0.423 0.415

Results
formation energy	-1.560	eV/atom
space group	Cm, No. 8

Compound: NaLi3Fe4Si8O24
Source: the Materials Project
Functional: GGA+U
Structure: optimized geometry

a = 6.594 Å, b = 10.723 Å, c = 13.186 Å
α = 75.43°, β = 84.01°, γ = 75.43°
Positions (direct):
Na 0.209 0.125 0.145
Na 0.791 0.875 0.855
Li 0.245 0.126 0.627
Li 0.248 0.626 0.125
Li 0.249 0.623 0.629
Li 0.751 0.377 0.371
Li 0.752 0.374 0.875
Li 0.755 0.874 0.373
Fe 0.397 0.375 0.051
Fe 0.398 0.376 0.550
Fe 0.398 0.874 0.552
Fe 0.399 0.875 0.051
Fe 0.601 0.125 0.949
Fe 0.602 0.126 0.448
Fe 0.602 0.624 0.450
Fe 0.603 0.625 0.949
Si 0.113 0.631 0.399
Si 0.116 0.131 0.398
Si 0.116 0.131 0.895
Si 0.119 0.627 0.897
Si 0.293 0.382 0.307
Si 0.293 0.879 0.808
Si 0.296 0.877 0.310
Si 0.297 0.380 0.806
Si 0.703 0.620 0.194
Si 0.704 0.123 0.690
Si 0.707 0.121 0.192
Si 0.707 0.618 0.693
Si 0.881 0.373 0.103
Si 0.884 0.869 0.105
Si 0.884 0.869 0.602
Si 0.887 0.369 0.601
O 0.117 0.348 0.052
O 0.123 0.836 0.057
O 0.124 0.836 0.557
O 0.125 0.338 0.554
O 0.141 0.022 0.823
O 0.142 0.774 0.327
O 0.144 0.524 0.325
O 0.147 0.771 0.823
O 0.149 0.273 0.821
O 0.150 0.022 0.325
O 0.150 0.273 0.322
O 0.151 0.524 0.821
O 0.298 0.574 0.486
O 0.299 0.074 0.486
O 0.302 0.072 0.981
O 0.303 0.574 0.984
O 0.385 0.416 0.187
O 0.390 0.912 0.689
O 0.392 0.412 0.687
O 0.395 0.903 0.192
O 0.464 0.822 0.901
O 0.469 0.325 0.900
O 0.470 0.823 0.402
O 0.471 0.325 0.398
O 0.529 0.675 0.602
O 0.530 0.177 0.598
O 0.531 0.675 0.100
O 0.536 0.178 0.099
O 0.605 0.097 0.808
O 0.608 0.588 0.313
O 0.610 0.088 0.311
O 0.615 0.584 0.813
O 0.697 0.426 0.016
O 0.698 0.928 0.019
O 0.701 0.926 0.514
O 0.702 0.426 0.514
O 0.849 0.476 0.179
O 0.850 0.727 0.678
O 0.850 0.978 0.675
O 0.851 0.727 0.179
O 0.853 0.229 0.177
O 0.856 0.476 0.675
O 0.858 0.226 0.673
O 0.859 0.978 0.177
O 0.875 0.662 0.446
O 0.876 0.164 0.443
O 0.877 0.164 0.943
O 0.883 0.652 0.948

Results
formation energy	-2.747	eV/atom
space group	P-1, No. 2

Compound: Li2CrCuF6
Source: the Materials Project
Functional: GGA+U
Structure: optimized geometry

a = 5.712 Å, b = 5.712 Å, c = 5.712 Å
α = 60.00°, β = 60.00°, γ = 60.00°
Positions (direct):
Li 0.250 0.250 0.250
Li 0.750 0.750 0.750
Cr 0.000 0.000 0.000
Cu 0.500 0.500 0.500
F 0.240 0.240 0.760
F 0.240 0.760 0.240
F 0.240 0.760 0.760
F 0.760 0.240 0.240
F 0.760 0.240 0.760
F 0.760 0.760 0.240

Results
formation energy	-2.470	eV/atom
space group	Fm-3m, No. 225

Compound: MgV3CrO10
Source: the Materials Project
Functional: GGA+U
Structure: optimized geometry

a = 6.636 Å, b = 6.636 Å, c = 4.913 Å
α = 93.60°, β = 93.60°, γ = 90.17°
Positions (direct):
Mg 0.000 0.000 0.000
V 0.237 0.241 0.591
V 0.747 0.253 0.500
V 0.759 0.763 0.409
Cr 0.251 0.749 0.500
O 0.037 0.767 0.269
O 0.190 0.194 0.257
O 0.233 0.963 0.731
O 0.240 0.529 0.664
O 0.471 0.760 0.336
O 0.528 0.241 0.667
O 0.759 0.472 0.333
O 0.763 0.041 0.263
O 0.806 0.810 0.743
O 0.959 0.237 0.737

Results
formation energy	-2.332	eV/atom
space group	C2, No. 5

Compound: Sr2ZnMoO6
Source: the Materials Project
Functional: GGA+U
Structure: optimized geometry

a = 5.697 Å, b = 5.697 Å, c = 5.697 Å
α = 120.38°, β = 120.38°, γ = 89.34°
Positions (direct):
Sr 0.250 0.750 0.500
Sr 0.750 0.250 0.500
Zn 0.000 0.000 0.000
Mo 0.500 0.500 0.000
O 0.222 0.299 0.521
O 0.260 0.260 0.000
O 0.299 0.778 0.077
O 0.701 0.222 0.923
O 0.740 0.740 0.000
O 0.778 0.701 0.479

Results
formation energy	-2.563	eV/atom
space group	I4/m, No. 87

Compound: Li9Mn2Co5O16
Source: the Materials Project
Functional: GGA+U
Structure: optimized geometry

a = 5.074 Å, b = 5.176 Å, c = 11.132 Å
α = 86.36°, β = 80.43°, γ = 82.66°
Positions (direct):
Li 0.000 0.000 0.000
Li 0.061 0.751 0.437
Li 0.123 0.502 0.877
Li 0.252 0.985 0.749
Li 0.359 0.521 0.616
Li 0.485 0.988 0.498
Li 0.630 0.498 0.378
Li 0.748 0.011 0.252
Li 0.874 0.494 0.127
Mn 0.682 0.249 0.811
Mn 0.812 0.750 0.682
Co 0.191 0.249 0.312
Co 0.312 0.749 0.190
Co 0.430 0.247 0.065
Co 0.560 0.749 0.937
Co 0.941 0.258 0.555
O 0.012 0.599 0.279
O 0.104 0.138 0.160
O 0.127 0.873 0.600
O 0.244 0.627 0.036
O 0.265 0.351 0.464
O 0.355 0.134 0.903
O 0.380 0.905 0.331
O 0.483 0.642 0.785
O 0.509 0.363 0.223
O 0.625 0.103 0.658
O 0.628 0.870 0.090
O 0.716 0.626 0.541
O 0.763 0.359 0.966
O 0.877 0.151 0.404
O 0.886 0.852 0.842
O 0.998 0.395 0.710

Results
formation energy	-1.816	eV/atom
space group	P1, No. 1

Compound: Ba8Y4CuW3O24
Source: the Materials Project
Functional: GGA+U
Structure: optimized geometry

a = 10.532 Å, b = 10.532 Å, c = 10.532 Å
α = 132.43°, β = 132.43°, γ = 69.55°
Positions (direct):
Ba 0.113 0.113 0.462
Ba 0.113 0.651 0.000
Ba 0.349 0.349 0.462
Ba 0.349 0.887 0.000
Ba 0.651 0.113 0.000
Ba 0.651 0.651 0.538
Ba 0.887 0.349 0.000
Ba 0.887 0.887 0.538
Y 0.000 0.500 0.500
Y 0.257 0.257 0.000
Y 0.500 0.000 0.500
Y 0.743 0.743 0.000
Cu 0.000 0.000 0.000
W 0.250 0.750 0.500
W 0.500 0.500 0.000
W 0.750 0.250 0.500
O 0.000 0.244 0.244
O 0.000 0.756 0.756
O 0.018 0.748 0.270
O 0.134 0.134 0.000
O 0.135 0.635 0.500
O 0.244 0.000 0.244
O 0.252 0.522 0.270
O 0.252 0.982 0.730
O 0.268 0.500 0.768
O 0.365 0.865 0.500
O 0.388 0.388 0.000
O 0.478 0.748 0.730
O 0.500 0.268 0.768
O 0.500 0.732 0.232
O 0.522 0.252 0.270
O 0.612 0.612 0.000
O 0.635 0.135 0.500
O 0.732 0.500 0.232
O 0.748 0.018 0.270
O 0.748 0.478 0.730
O 0.756 0.000 0.756
O 0.865 0.365 0.500
O 0.866 0.866 0.000
O 0.982 0.252 0.730

Results
formation energy	-3.052	eV/atom
space group	I4/mmm, No. 139

Compound: Li8Mn3Fe5B8O24
Source: the Materials Project
Functional: GGA+U
Structure: optimized geometry

a = 5.235 Å, b = 6.005 Å, c = 16.238 Å
α = 82.04°, β = 89.40°, γ = 89.43°
Positions (direct):
Li 0.000 0.000 0.000
Li 0.000 0.499 0.500
Li 0.305 0.861 0.222
Li 0.306 0.361 0.723
Li 0.500 0.740 0.753
Li 0.501 0.245 0.249
Li 0.803 0.115 0.471
Li 0.805 0.614 0.970
Mn 0.480 0.657 0.570
Mn 0.822 0.205 0.651
Mn 0.822 0.703 0.151
Fe 0.317 0.960 0.399
Fe 0.320 0.455 0.903
Fe 0.476 0.154 0.069
Fe 0.978 0.402 0.323
Fe 0.981 0.899 0.821
B 0.321 0.147 0.562
B 0.322 0.646 0.063
B 0.479 0.468 0.405
B 0.484 0.969 0.907
B 0.825 0.392 0.815
B 0.825 0.893 0.315
B 0.983 0.215 0.157
B 0.984 0.714 0.659
O 0.061 0.170 0.549
O 0.061 0.670 0.049
O 0.243 0.691 0.673
O 0.245 0.190 0.169
O 0.334 0.602 0.453
O 0.341 0.099 0.957
O 0.360 0.351 0.348
O 0.362 0.856 0.850
O 0.440 0.261 0.620
O 0.440 0.758 0.122
O 0.468 0.014 0.514
O 0.471 0.515 0.015
O 0.565 0.918 0.303
O 0.566 0.416 0.803
O 0.741 0.445 0.418
O 0.747 0.945 0.919
O 0.837 0.846 0.707
O 0.840 0.346 0.207
O 0.859 0.107 0.099
O 0.864 0.602 0.601
O 0.947 0.009 0.372
O 0.952 0.511 0.870
O 0.971 0.256 0.768
O 0.971 0.760 0.267

Results
formation energy	-2.394	eV/atom
space group	P1, No. 1

Copy entry 6 word for word.
Compound: MgV3CrO10
Source: the Materials Project
Functional: GGA+U
Structure: optimized geometry

a = 6.636 Å, b = 6.636 Å, c = 4.913 Å
α = 93.60°, β = 93.60°, γ = 90.17°
Positions (direct):
Mg 0.000 0.000 0.000
V 0.237 0.241 0.591
V 0.747 0.253 0.500
V 0.759 0.763 0.409
Cr 0.251 0.749 0.500
O 0.037 0.767 0.269
O 0.190 0.194 0.257
O 0.233 0.963 0.731
O 0.240 0.529 0.664
O 0.471 0.760 0.336
O 0.528 0.241 0.667
O 0.759 0.472 0.333
O 0.763 0.041 0.263
O 0.806 0.810 0.743
O 0.959 0.237 0.737

Results
formation energy	-2.332	eV/atom
space group	C2, No. 5

Please write out number 7 again, unchanged.
Compound: Sr2ZnMoO6
Source: the Materials Project
Functional: GGA+U
Structure: optimized geometry

a = 5.697 Å, b = 5.697 Å, c = 5.697 Å
α = 120.38°, β = 120.38°, γ = 89.34°
Positions (direct):
Sr 0.250 0.750 0.500
Sr 0.750 0.250 0.500
Zn 0.000 0.000 0.000
Mo 0.500 0.500 0.000
O 0.222 0.299 0.521
O 0.260 0.260 0.000
O 0.299 0.778 0.077
O 0.701 0.222 0.923
O 0.740 0.740 0.000
O 0.778 0.701 0.479

Results
formation energy	-2.563	eV/atom
space group	I4/m, No. 87

Question: What is the formula in the fifth record?
Answer: Li2CrCuF6

Question: Which value of formation energy does entry 5 give?
Answer: -2.470 eV/atom